The following is a r²SCAN calculation of SmB2Os2 after structural relaxation, from the Materials Project database.

Lattice parameters (Å, degrees): 6.642 9.038 9.934 90.00 90.00 90.00
Space group Fddd (No. 70, origin choice 2)
One atom of each set of equivalent atoms:
Sm 0.125 0.125 0.125 x8
B 0.125 0.312 0.625 x16
Os 0.125 0.125 0.487 x16

Computed properties:
Formation enthalpy at 0 K in eV/atom: -0.547
Total magnetization in Bohr magnetons per cell: 0.000